1.
A plane-wave DFT calculation with r2SCAN was carried out for crystalline Sm3Ge5 at its relaxed geometry.

```
16
Lattice="6.9936 0.0000 0.0000 -3.4968 6.0566 0.0000 0.0000 0.0000 8.5043" Properties=species:S:1:pos:R:3 pbc="T T T"
Sm -1.1640 2.0161 0.0000
Sm -1.1640 2.0161 4.2522
Sm 2.3280 0.0000 0.0000
Sm 2.3280 0.0000 4.2522
Sm 2.3328 4.0405 0.0000
Sm 2.3328 4.0405 4.2522
Ge 0.0000 0.0000 2.1261
Ge 0.0000 0.0000 6.3782
Ge -1.9315 4.0596 2.1261
Ge 0.9469 2.3541 2.1261
Ge 0.0000 4.0378 6.3782
Ge 1.5653 1.9971 6.3782
Ge 0.9847 5.6996 2.1261
Ge 3.4968 2.0189 2.1261
Ge 4.4815 0.3570 6.3782
Ge 4.4437 3.7025 6.3782
```

Values from the calculation:
* formation energy: -0.817 eV per atom
* crystal system: hexagonal

2.
A plane-wave DFT calculation with r2SCAN was carried out for crystalline Sm3Ge5 at its relaxed geometry.

```
16
Lattice="2.9346 -6.9897 0.0000 2.9346 6.9897 0.0000 -2.9167 0.0000 8.8011" Properties=species:S:1:pos:R:3 pbc="T T T"
Sm 0.0000 0.0000 0.0000
Sm 1.4451 3.5827 1.4398
Sm 0.0375 0.0870 5.8430
Sm 1.5073 3.5827 7.3613
Sm 2.9149 0.0870 2.9581
Sm 1.4762 -3.4933 4.4005
Ge -1.2182 2.2205 7.5490
Ge 0.0766 1.2138 2.8698
Ge -0.2334 -1.2753 3.1527
Ge 1.4762 2.7188 4.4005
Ge 1.5381 -2.2811 1.5326
Ge 2.9346 -0.7809 0.0000
Ge 4.1707 2.2205 1.2521
Ge 2.8759 1.2138 5.9313
Ge 1.4144 -2.2811 7.2685
Ge 3.1859 -1.2753 5.6484
```

Values from the calculation:
* formation energy: -0.817 eV per atom
* crystal system: monoclinic

3.
A plane-wave DFT calculation with r2SCAN was carried out for crystalline Sm4Ge7 at its relaxed geometry.

```
22
Lattice="2.9778 -6.9042 0.0000 2.9778 6.9042 0.0000 0.0000 0.0000 11.9194" Properties=species:S:1:pos:R:3 pbc="T T T"
Sm 2.9778 6.8513 8.9395
Sm 1.5661 3.3827 1.4209
Sm 2.9073 0.0000 5.9597
Sm 4.3895 3.3827 4.5388
Sm 1.5661 -3.3827 10.4985
Sm 3.0483 0.0000 0.0000
Sm 4.3895 -3.3827 7.3806
Sm 2.9778 -6.8513 2.9798
Ge 2.8760 5.6815 5.8375
Ge 1.5132 2.3763 4.4252
Ge 3.0797 5.6815 0.1222
Ge 1.9594 2.0439 9.9598
Ge 1.5132 -2.3763 7.4942
Ge 2.9778 0.8573 2.9798
Ge 1.9594 -2.0439 1.9596
Ge 3.9963 2.0439 7.9192
Ge 2.9778 -0.8573 8.9395
Ge 4.4424 2.3763 1.5345
Ge 3.9963 -2.0439 4.0001
Ge 2.8760 -5.6815 6.0819
Ge 4.4424 -2.3763 10.3849
Ge 3.0797 -5.6815 11.7971
```

Values from the calculation:
* formation energy: -0.785 eV per atom
* crystal system: orthorhombic

Please write out number 3 again, unchanged.
A plane-wave DFT calculation with r2SCAN was carried out for crystalline Sm4Ge7 at its relaxed geometry.

```
22
Lattice="2.9778 -6.9042 0.0000 2.9778 6.9042 0.0000 0.0000 0.0000 11.9194" Properties=species:S:1:pos:R:3 pbc="T T T"
Sm 2.9778 6.8513 8.9395
Sm 1.5661 3.3827 1.4209
Sm 2.9073 0.0000 5.9597
Sm 4.3895 3.3827 4.5388
Sm 1.5661 -3.3827 10.4985
Sm 3.0483 0.0000 0.0000
Sm 4.3895 -3.3827 7.3806
Sm 2.9778 -6.8513 2.9798
Ge 2.8760 5.6815 5.8375
Ge 1.5132 2.3763 4.4252
Ge 3.0797 5.6815 0.1222
Ge 1.9594 2.0439 9.9598
Ge 1.5132 -2.3763 7.4942
Ge 2.9778 0.8573 2.9798
Ge 1.9594 -2.0439 1.9596
Ge 3.9963 2.0439 7.9192
Ge 2.9778 -0.8573 8.9395
Ge 4.4424 2.3763 1.5345
Ge 3.9963 -2.0439 4.0001
Ge 2.8760 -5.6815 6.0819
Ge 4.4424 -2.3763 10.3849
Ge 3.0797 -5.6815 11.7971
```

Values from the calculation:
* formation energy: -0.785 eV per atom
* crystal system: orthorhombic

> Number 1 is which compound?

Sm3Ge5

> Look up the formation energy of the second one.

-0.817 eV per atom